DFT (meta-GGA r2SCAN) results for a relaxed Te4MoBr crystal.

Structure (CIF):
```
data_Te4MoBr
_chemical_formula_sum 'Te8 Mo2 Br2'
_symmetry_space_group_name_H-M 'P -1'
_symmetry_Int_Tables_number 2
_symmetry_space_group_name_Hall '-P 1'
_cell_length_a 6.8873
_cell_length_b 8.1075
_cell_length_c 8.1950
_cell_angle_alpha 113.74
_cell_angle_beta 102.93
_cell_angle_gamma 101.26
loop_
_atom_site_label
_atom_site_fract_x
_atom_site_fract_y
_atom_site_fract_z
Te1 0.0337 0.3865 0.2191
Te2 0.1224 0.8247 0.1775
Te3 0.3879 0.3581 0.6961
Te4 0.4622 0.2687 0.0606
Mo1 0.2176 0.5000 0.9991
Br1 0.2536 0.9026 0.5797
```

formation energy from the elements	-0.296	eV per atom
total magnetic moment	0.0	Bohr magnetons per cell

DFT (meta-GGA r2SCAN) results for a relaxed Nd10Si10BrN17O9 crystal.

Structure (CIF):
```
data_Nd10Si10BrN17O9
_chemical_formula_sum 'Nd20 Si20 Br2 N34 O18'
_symmetry_space_group_name_H-M 'P 1'
_symmetry_Int_Tables_number 1
_symmetry_space_group_name_Hall 'P 1'
_cell_length_a 10.4851
_cell_length_b 11.1905
_cell_length_c 11.5897
_cell_angle_alpha 90.06
_cell_angle_beta 90.12
_cell_angle_gamma 90.06
loop_
_atom_site_label
_atom_site_fract_x
_atom_site_fract_y
_atom_site_fract_z
Nd1 0.0000 0.0000 0.0000
Nd2 0.9996 0.4890 0.2570
Nd3 0.0001 0.4897 0.7397
Nd4 0.0312 0.2544 0.4979
Nd5 0.1443 0.8865 0.3282
Nd6 0.1462 0.8874 0.6669
Nd7 0.2622 0.7667 0.9956
Nd8 0.2675 0.5144 0.4973
Nd9 0.2791 0.2865 0.2664
Nd10 0.2801 0.2876 0.7279
Nd11 0.4925 0.7870 0.2620
Nd12 0.4950 0.0166 0.4939
Nd13 0.4967 0.7833 0.7327
Nd14 0.5128 0.2678 0.0004
Nd15 0.6350 0.3838 0.3245
Nd16 0.6390 0.3853 0.6705
Nd17 0.7617 0.7569 0.5014
Nd18 0.7731 0.9888 0.2589
Nd19 0.7752 0.5034 0.9949
Nd20 0.7782 0.9846 0.7370
Si1 0.0204 0.1410 0.2523
Si2 0.0229 0.1411 0.7436
Si3 0.2528 0.6248 0.2523
Si4 0.2549 0.6252 0.7425
Si5 0.2863 0.0339 0.1308
Si6 0.2888 0.0348 0.8624
Si7 0.3510 0.7792 0.4973
Si8 0.4201 0.2770 0.4976
Si9 0.4867 0.5333 0.1325
Si10 0.4899 0.5318 0.8634
Si11 0.5207 0.1257 0.2523
Si12 0.5228 0.1311 0.7430
Si13 0.7520 0.6420 0.2536
Si14 0.7539 0.6472 0.7412
Si15 0.7882 0.2418 0.1329
Si16 0.7914 0.2402 0.8618
Si17 0.8509 0.4947 0.4972
Si18 0.9230 0.9974 0.4979
Si19 0.9854 0.7424 0.1352
Si20 0.9879 0.7434 0.8620
Br1 0.0854 0.4205 0.9986
Br2 0.6811 0.9202 0.9970
N1 0.0343 0.7742 0.9993
N2 0.1130 0.6952 0.2153
N3 0.1183 0.6978 0.7844
N4 0.1617 0.0791 0.2170
N5 0.1670 0.0816 0.7740
N6 0.2193 0.4853 0.2978
N7 0.2190 0.4861 0.6972
N8 0.2302 0.0072 0.9958
N9 0.2577 0.2917 0.4989
N10 0.2893 0.9203 0.4978
N11 0.3105 0.7056 0.3732
N12 0.3114 0.7047 0.6209
N13 0.3659 0.6362 0.1434
N14 0.3707 0.6361 0.8494
N15 0.4062 0.1369 0.1453
N16 0.4107 0.1364 0.8498
N17 0.4722 0.2104 0.3738
N18 0.4743 0.2080 0.6202
N19 0.5448 0.5047 0.9987
N20 0.5525 0.9866 0.3004
N21 0.6093 0.5801 0.2209
N22 0.6153 0.5762 0.7784
N23 0.6587 0.1948 0.2098
N24 0.6649 0.1909 0.7808
N25 0.7197 0.7866 0.6950
N26 0.7419 0.2751 0.9966
N27 0.8088 0.5700 0.3763
N28 0.8113 0.5672 0.6198
N29 0.8644 0.6392 0.1473
N30 0.8688 0.6391 0.8477
N31 0.9067 0.1377 0.1475
N32 0.9118 0.1375 0.8504
N33 0.9671 0.0704 0.3768
N34 0.9676 0.0692 0.6199
O1 0.0072 0.4684 0.4949
O2 0.0495 0.2798 0.2948
O3 0.0499 0.2802 0.7007
O4 0.3178 0.8954 0.1767
O5 0.3235 0.8977 0.8149
O6 0.4557 0.3951 0.1796
O7 0.4583 0.3937 0.8159
O8 0.4860 0.4147 0.4987
O9 0.5132 0.7934 0.4972
O10 0.5511 0.9930 0.6976
O11 0.7214 0.7806 0.2967
O12 0.7662 0.9745 0.4976
O13 0.7845 0.3598 0.4964
O14 0.8172 0.3766 0.1878
O15 0.8201 0.3749 0.8070
O16 0.9532 0.8775 0.1874
O17 0.9587 0.8801 0.8118
O18 0.9824 0.8592 0.4972
```

formation energy from the elements	-2.237	eV per atom
total magnetic moment	0.0	Bohr magnetons per cell

DFT (meta-GGA r2SCAN) results for a relaxed PBr2N crystal.

Structure (CIF):
```
data_PBr2N
_chemical_formula_sum 'P8 Br16 N8'
_symmetry_space_group_name_H-M 'P 42/n'
_symmetry_Int_Tables_number 86
_cell_length_a 11.5122
_cell_length_b 11.5122
_cell_length_c 6.4268
_cell_angle_alpha 90.00
_cell_angle_beta 90.00
_cell_angle_gamma 90.00
loop_
_symmetry_equiv_pos_as_xyz
'x,y,z'
'-x,-y,-z'
'-y,x+1/2,z+1/2'
'y,-x+1/2,-z+1/2'
'-x+1/2,-y+1/2,z'
'x+1/2,y+1/2,-z'
'y+1/2,-x,z+1/2'
'-y+1/2,x,-z+1/2'
loop_
_atom_site_label
_atom_site_fract_x
_atom_site_fract_y
_atom_site_fract_z
P1 0.0843 0.2061 0.1968
Br1 0.0559 0.1445 0.8796
Br2 0.0876 0.8053 0.6591
N1 0.1204 0.3374 0.1737
```

formation energy from the elements	-0.432	eV per atom
total magnetic moment	0.0	Bohr magnetons per cell